No. 1
A plane-wave DFT calculation with GGA+U was carried out for a geometry-optimized SrCaCo4O12 structure.

- ΔE_f: -120 kJ per mole of atoms
- Calculated volume: 11.8 Å³ per atom

Structure (POSCAR):
```
SrCaCo4O12
1.0
5.320 0.000 0.000
0.000 5.320 0.000
0.000 0.000 7.527
O Co Ca Sr
12 4 1 1
Direct
0.254 0.746 0.756
0.254 0.746 0.244
0.746 0.254 0.756
0.000 0.500 0.000
0.254 0.254 0.756
0.500 0.000 0.000
0.746 0.254 0.244
0.746 0.746 0.244
0.000 0.500 0.500
0.254 0.254 0.244
0.746 0.746 0.756
0.500 0.000 0.500
0.500 0.000 0.751
0.500 0.000 0.249
0.000 0.500 0.249
0.000 0.500 0.751
0.500 0.500 0.000
0.000 0.000 0.500
```

No. 2
A plane-wave DFT calculation with GGA+U was carried out for a geometry-optimized Li2MnCr2O6 structure.

- Offset from the most stable computed form: 0.0 kJ/mol of atoms
- ΔE_f: -216 kJ per mole of atoms
- Calculated volume: 10.1 Å³ per atom

Structure (POSCAR):
```
Li2MnCr2O6
1.0
4.430 6.480 0.000
-4.430 6.480 0.000
0.000 1.432 5.802
Cr O Li Mn
6 18 6 3
Direct
0.832 0.504 0.667
0.168 0.496 0.333
0.504 0.832 0.667
0.166 0.166 0.667
0.834 0.834 0.333
0.496 0.168 0.333
0.323 0.323 0.571
0.666 0.326 0.218
0.657 0.000 0.560
0.343 0.000 0.440
0.652 0.652 0.912
0.677 0.677 0.429
0.674 0.334 0.782
0.326 0.984 0.902
0.334 0.674 0.782
0.016 0.674 0.098
0.000 0.657 0.560
0.984 0.326 0.902
0.993 0.993 0.225
0.000 0.343 0.440
0.348 0.348 0.088
0.326 0.666 0.218
0.007 0.007 0.775
0.674 0.016 0.098
0.502 0.834 0.169
0.168 0.832 0.500
0.832 0.168 0.500
0.498 0.166 0.831
0.834 0.502 0.169
0.166 0.498 0.831
0.500 0.500 0.000
0.835 0.165 0.000
0.165 0.835 0.000
```

No. 3
A plane-wave DFT calculation with GGA+U was carried out for a geometry-optimized Li8Mn3Fe5B8O24 structure.

- Offset from the most stable computed form: 0.0 kJ/mol of atoms
- ΔE_f: -231 kJ per mole of atoms
- Calculated volume: 10.3 Å³ per atom

Structure (POSCAR):
```
Li8Mn3Fe5B8O24
1.0
-4.541 -2.564 -0.409
4.380 -2.134 -1.928
3.646 -8.792 18.564
O B Fe Mn Li
24 8 5 3 8
Direct
0.069 0.748 0.797
0.729 0.641 0.931
0.070 0.743 0.298
0.933 0.258 0.707
0.038 0.424 0.422
0.578 0.967 0.833
0.270 0.359 0.058
0.359 0.272 0.306
0.655 0.740 0.681
0.418 0.031 0.174
0.975 0.582 0.083
0.419 0.033 0.673
0.245 0.929 0.960
0.247 0.930 0.459
0.584 0.979 0.332
0.930 0.256 0.208
0.271 0.359 0.557
0.370 0.273 0.805
0.976 0.583 0.582
0.730 0.642 0.431
0.740 0.069 0.050
0.655 0.737 0.181
0.741 0.071 0.549
0.038 0.423 0.923
0.005 0.667 0.438
0.996 0.337 0.564
0.668 0.005 0.188
0.995 0.337 0.064
0.340 0.997 0.812
0.004 0.666 0.939
0.668 0.008 0.687
0.337 0.997 0.312
0.315 0.001 0.067
0.012 0.667 0.191
0.004 0.321 0.316
0.004 0.667 0.691
0.315 0.998 0.567
0.672 0.006 0.442
0.002 0.326 0.816
0.668 0.004 0.943
0.652 0.676 0.085
0.337 0.346 0.959
0.337 0.346 0.458
0.351 0.340 0.208
0.678 0.653 0.333
0.352 0.340 0.708
0.679 0.652 0.833
0.651 0.676 0.584
```

No. 4
A plane-wave DFT calculation with GGA+U was carried out for a geometry-optimized Li3CrBO5 structure.

- Piezoelectric modulus e_max: 1.438 C/m2
- ΔE_f: -227 kJ per mole of atoms
- Calculated volume: 9.4 Å³ per atom

Structure (POSCAR):
```
Li3CrBO5
1.0
4.728 0.000 0.000
0.000 4.866 0.000
0.000 0.000 16.269
O B Li Cr
20 4 12 4
Direct
0.589 0.609 0.226
0.590 0.208 0.505
0.589 0.109 0.274
0.090 0.292 0.005
0.090 0.792 0.495
0.582 0.681 0.605
0.185 0.811 0.303
0.089 0.391 0.774
0.082 0.319 0.395
0.624 0.227 0.127
0.685 0.189 0.697
0.685 0.689 0.803
0.124 0.273 0.627
0.582 0.181 0.895
0.082 0.819 0.105
0.124 0.773 0.873
0.185 0.311 0.197
0.590 0.708 0.995
0.089 0.891 0.726
0.624 0.727 0.373
0.996 0.189 0.708
0.496 0.311 0.208
0.996 0.689 0.792
0.496 0.811 0.292
0.009 0.679 0.994
0.509 0.301 0.388
0.498 0.342 0.792
0.009 0.199 0.888
0.998 0.658 0.208
0.009 0.699 0.612
0.009 0.179 0.506
0.998 0.158 0.292
0.509 0.821 0.494
0.498 0.842 0.708
0.509 0.801 0.112
0.509 0.321 0.006
0.511 0.330 0.603
0.011 0.170 0.103
0.011 0.670 0.397
0.511 0.830 0.897
```

No. 5
A plane-wave DFT calculation with GGA+U was carried out for a geometry-optimized Sr2YMo2O7 structure.

- ΔE_f: -238 kJ per mole of atoms
- Calculated volume: 17.9 Å³ per atom

Structure (POSCAR):
```
Sr2YMo2O7
1.0
-2.741 2.889 13.530
2.741 -2.889 13.530
2.741 2.889 -13.530
O Mo Sr Y
14 4 4 2
Direct
0.729 0.696 0.526
0.428 0.830 0.551
0.492 0.447 0.439
0.229 0.703 0.033
0.201 0.193 0.499
0.830 0.304 0.033
0.221 0.623 0.551
0.305 0.807 0.007
0.330 0.297 0.526
0.805 0.798 0.499
0.928 0.377 0.598
0.992 0.553 0.045
0.701 0.202 0.007
0.721 0.170 0.598
0.087 0.576 0.511
0.934 0.424 0.510
0.587 0.076 0.510
0.434 0.924 0.511
0.280 0.404 0.060
0.656 0.596 0.877
0.156 0.279 0.060
0.780 0.721 0.877
0.012 0.000 0.012
0.512 0.500 0.012
```

No. 6
A plane-wave DFT calculation with GGA+U was carried out for a geometry-optimized Fe6Ge2C23O23 structure.

- ΔE_f: -54 kJ per mole of atoms
- Calculated volume: 15.9 Å³ per atom

Structure (POSCAR):
```
Fe6Ge2C23O23
1.0
-9.249 0.000 0.000
-1.752 -13.835 0.000
-1.751 -5.454 13.432
O C Fe Ge
46 46 12 4
Direct
0.389 0.106 0.477
0.204 0.615 0.560
0.863 0.981 0.597
0.606 0.312 0.118
0.247 0.408 0.050
0.610 0.168 0.816
0.595 0.183 0.569
0.415 0.544 0.402
0.375 0.207 0.038
0.356 0.630 0.121
0.106 0.238 0.453
0.101 0.995 0.127
0.965 0.388 0.971
0.211 0.826 0.614
0.984 0.280 0.200
0.835 0.302 0.667
0.843 0.594 0.466
0.965 0.205 0.901
0.611 0.894 0.523
0.518 0.362 0.363
0.165 0.698 0.333
0.625 0.793 0.962
0.579 0.936 0.746
0.394 0.688 0.882
0.035 0.795 0.099
0.796 0.385 0.440
0.157 0.406 0.534
0.753 0.592 0.950
0.137 0.019 0.403
0.390 0.832 0.184
0.421 0.064 0.254
0.644 0.370 0.879
0.162 0.858 0.887
0.814 0.508 0.695
0.482 0.638 0.637
0.585 0.456 0.598
0.405 0.817 0.431
0.639 0.040 0.040
0.186 0.492 0.305
0.838 0.142 0.113
0.361 0.960 0.960
0.899 0.005 0.873
0.016 0.720 0.800
0.035 0.612 0.029
0.894 0.762 0.547
0.789 0.174 0.386
0.049 0.954 0.207
0.660 0.795 0.035
0.836 0.423 0.356
0.567 0.419 0.288
0.078 0.968 0.376
0.235 0.889 0.641
0.796 0.088 0.192
0.164 0.577 0.644
0.048 0.642 0.789
0.924 0.510 0.725
0.290 0.442 0.967
0.019 0.438 0.894
0.765 0.111 0.359
0.505 0.391 0.634
0.534 0.421 0.862
0.710 0.558 0.033
0.922 0.032 0.624
0.981 0.562 0.106
0.077 0.188 0.536
0.460 0.956 0.722
0.923 0.812 0.464
0.952 0.358 0.211
0.466 0.579 0.138
0.672 0.952 0.083
0.756 0.641 0.410
0.204 0.912 0.808
0.621 0.385 0.135
0.511 0.801 0.205
0.076 0.490 0.275
0.091 0.199 0.883
0.433 0.581 0.712
0.909 0.801 0.117
0.540 0.044 0.278
0.328 0.048 0.917
0.905 0.228 0.666
0.095 0.772 0.334
0.244 0.359 0.590
0.342 0.064 0.558
0.658 0.936 0.442
0.495 0.778 0.391
0.951 0.046 0.793
0.489 0.199 0.795
0.495 0.609 0.366
0.379 0.615 0.865
0.340 0.205 0.965
0.505 0.222 0.609
0.368 0.502 0.839
0.615 0.710 0.327
0.287 0.186 0.860
0.632 0.498 0.161
0.279 0.986 0.684
0.985 0.885 0.336
0.088 0.520 0.771
0.721 0.014 0.316
0.713 0.814 0.140
0.385 0.290 0.673
0.912 0.480 0.229
0.015 0.115 0.664
0.767 0.855 0.281
0.233 0.145 0.719
0.269 0.377 0.783
0.731 0.623 0.217
```